A relaxed structure of ZnMo2O4, computed with GGA+U.

```
data_ZnMo2O4
_space_group_name_H-M_alt 'P 1'
_space_group_IT_number 1
_space_group_name_Hall 'P 1'
_cell_length_a 6.2068
_cell_length_b 6.4966
_cell_length_c 15.2781
_cell_angle_alpha 91.17
_cell_angle_beta 91.86
_cell_angle_gamma 118.07
loop_
_atom_site_label
_atom_site_type_symbol
_atom_site_fract_x
_atom_site_fract_y
_atom_site_fract_z
O1 O 0.3300 0.1398 0.0900
O2 O 0.3528 0.7062 0.0763
O3 O 0.5233 0.5278 0.2370
O4 O 0.1778 0.3570 0.9062
O5 O 0.6534 0.3106 0.9158
O6 O 0.1334 0.7936 0.4290
O7 O 0.9877 0.4878 0.7531
O8 O 0.3069 0.6185 0.5869
O9 O 0.5178 0.0222 0.2455
O10 O 0.3342 0.1978 0.5802
O11 O 0.6574 0.7982 0.4230
O12 O 0.0023 0.0191 0.7487
O13 O 0.1793 0.8459 0.9106
O14 O 0.8184 0.1385 0.0919
O15 O 0.6687 0.8570 0.9103
O16 O 0.8246 0.6904 0.5845
O17 O 0.4840 0.9857 0.7562
O18 O 0.8626 0.2051 0.5744
O19 O 0.9920 0.9592 0.2571
O20 O 0.6827 0.3796 0.4109
O21 O 0.0209 0.5214 0.2433
O22 O 0.4882 0.4977 0.7528
O23 O 0.1544 0.2939 0.4221
O24 O 0.8321 0.6486 0.0912
Mo1 Mo 0.5019 0.0046 0.9986
Mo2 Mo 0.8244 0.6761 0.7140
Mo3 Mo 0.4932 0.9782 0.6048
Mo4 Mo 0.1840 0.3188 0.2858
Mo5 Mo 0.1735 0.8314 0.1694
Mo6 Mo 0.1716 0.3502 0.0464
Mo7 Mo 0.8273 0.1696 0.8315
Mo8 Mo 0.9953 0.9962 0.5018
Mo9 Mo 0.4999 0.0171 0.3930
Mo10 Mo 0.4939 0.4959 0.5001
Mo11 Mo 0.6768 0.3359 0.1697
Mo12 Mo 0.3308 0.6715 0.8309
Zn1 Zn 0.0003 0.4900 0.4942
Zn2 Zn 0.1606 0.3314 0.6636
Zn3 Zn 0.8372 0.6618 0.9597
Zn4 Zn 0.8374 0.6721 0.3349
Zn5 Zn 0.6782 0.8358 0.1699
Zn6 Zn 0.3283 0.1618 0.8347
```

Values from the calculation:
The value obtained for the formation energy is -1.602 eV per atom. The space group is P1, No. 1. As for the energy with MP2020 corrections: -7.7077 eV/atom. For the theoretical density, the calculation gives 5.896 g cm⁻³. For the total magnetization, the calculation gives 6.00 μB/f.u. For the total energy, the calculation gives -6.400 eV/atom.


A relaxed structure of Zn3Mo2O9, computed with GGA+U.

```
data_Zn3Mo2O9
_space_group_name_H-M_alt 'P 1'
_space_group_IT_number 1
_space_group_name_Hall 'P 1'
_cell_length_a 7.2145
_cell_length_b 7.8724
_cell_length_c 8.2193
_cell_angle_alpha 63.55
_cell_angle_beta 90.00
_cell_angle_gamma 90.00
loop_
_atom_site_label
_atom_site_type_symbol
_atom_site_fract_x
_atom_site_fract_y
_atom_site_fract_z
O1 O 0.7500 0.1251 0.0104
O2 O 0.7500 0.8969 0.8134
O3 O 0.5478 0.7871 0.2739
O4 O 0.9518 0.6413 0.6953
O5 O 0.2500 0.9544 0.6148
O6 O 0.2500 0.1031 0.1866
O7 O 0.9522 0.7871 0.2739
O8 O 0.7500 0.4949 0.0411
O9 O 0.2500 0.8749 0.9896
O10 O 0.0478 0.2129 0.7261
O11 O 0.7500 0.0456 0.3852
O12 O 0.0482 0.3587 0.3047
O13 O 0.7500 0.3967 0.5124
O14 O 0.5482 0.6413 0.6953
O15 O 0.2500 0.5051 0.9589
O16 O 0.4522 0.2129 0.7261
O17 O 0.2500 0.6033 0.4876
O18 O 0.4518 0.3587 0.3047
Zn1 Zn 0.5000 0.5000 0.5000
Zn2 Zn 0.7500 0.3260 0.3056
Zn3 Zn 0.2500 0.6740 0.6944
Zn4 Zn 0.2500 0.8312 0.2479
Zn5 Zn 0.7500 0.1688 0.7521
Zn6 Zn 0.0000 0.5000 0.5000
Mo1 Mo 0.2500 0.3294 0.1887
Mo2 Mo 0.7500 0.6706 0.8113
Mo3 Mo 0.7500 0.9368 0.2336
Mo4 Mo 0.2500 0.0632 0.7664
```

Values from the calculation:
The value obtained for the formation energy is -1.892 eV per atom. The space group is P2_1/m, No. 11. As for the energy with MP2020 corrections: -6.8925 eV/atom. For the theoretical density, the calculation gives 4.228 g cm⁻³. For the total energy, the calculation gives -5.993 eV/atom.


A relaxed structure of ZnMo2O4, computed with GGA+U.

```
data_ZnMo2O4
_space_group_name_H-M_alt 'P 1'
_space_group_IT_number 1
_space_group_name_Hall 'P 1'
_cell_length_a 6.3294
_cell_length_b 6.3294
_cell_length_c 6.3294
_cell_angle_alpha 60.89
_cell_angle_beta 60.89
_cell_angle_gamma 60.89
loop_
_atom_site_label
_atom_site_type_symbol
_atom_site_fract_x
_atom_site_fract_y
_atom_site_fract_z
O1 O 0.1320 0.1320 0.1320
O2 O 0.6158 0.1528 0.6158
O3 O 0.6158 0.6158 0.1528
O4 O 0.1528 0.6158 0.6158
O5 O 0.1317 0.1317 0.6018
O6 O 0.6125 0.6125 0.6125
O7 O 0.1317 0.6018 0.1317
O8 O 0.6018 0.1317 0.1317
Mo1 Mo 0.3749 0.3749 0.8775
Mo2 Mo 0.3749 0.8775 0.3749
Mo3 Mo 0.8775 0.3749 0.3749
Mo4 Mo 0.7618 0.7618 0.7618
Zn1 Zn 0.3706 0.3706 0.3706
Zn2 Zn 0.9959 0.9959 0.9959
```

Values from the calculation:
The value obtained for the formation energy is -1.669 eV per atom. The space group is R3m, No. 160. As for the energy with MP2020 corrections: -7.7748 eV/atom. For the theoretical density, the calculation gives 5.834 g cm⁻³. For the total magnetization, the calculation gives 6.00 μB/f.u. For the total energy, the calculation gives -6.467 eV/atom.


A relaxed structure of Zn4Mo3O12, computed with GGA+U.

```
data_Zn4Mo3O12
_space_group_name_H-M_alt 'P 1'
_space_group_IT_number 1
_space_group_name_Hall 'P 1'
_cell_length_a 5.2531
_cell_length_b 10.8810
_cell_length_c 17.4719
_cell_angle_alpha 90.00
_cell_angle_beta 90.00
_cell_angle_gamma 90.00
loop_
_atom_site_label
_atom_site_type_symbol
_atom_site_fract_x
_atom_site_fract_y
_atom_site_fract_z
O1 O 0.4203 0.8832 0.5380
O2 O 0.9203 0.8832 0.9620
O3 O 0.0686 0.8767 0.1209
O4 O 0.9203 0.6168 0.9620
O5 O 0.1585 0.8795 0.7921
O6 O 0.0797 0.3832 0.0380
O7 O 0.0550 0.2500 0.5055
O8 O 0.5550 0.2500 0.9945
O9 O 0.4367 0.3737 0.7792
O10 O 0.5974 0.0038 0.0745
O11 O 0.3415 0.1205 0.2921
O12 O 0.5974 0.4962 0.0745
O13 O 0.9026 0.5038 0.5745
O14 O 0.9450 0.7500 0.4945
O15 O 0.5686 0.6233 0.3791
O16 O 0.4450 0.7500 0.0055
O17 O 0.5633 0.8737 0.2208
O18 O 0.4026 0.5038 0.9255
O19 O 0.8415 0.1205 0.2079
O20 O 0.6501 0.7500 0.8447
O21 O 0.4367 0.1263 0.7792
O22 O 0.4203 0.6168 0.5380
O23 O 0.4026 0.9962 0.9255
O24 O 0.0686 0.6233 0.1209
O25 O 0.5797 0.3832 0.4620
O26 O 0.9367 0.1263 0.7208
O27 O 0.0974 0.0038 0.4255
O28 O 0.5633 0.6263 0.2208
O29 O 0.9026 0.9962 0.5745
O30 O 0.5797 0.1168 0.4620
O31 O 0.1585 0.6205 0.7921
O32 O 0.1501 0.7500 0.6553
O33 O 0.6585 0.8795 0.7079
O34 O 0.4314 0.3767 0.6209
O35 O 0.8499 0.2500 0.3447
O36 O 0.3499 0.2500 0.1553
O37 O 0.9314 0.1233 0.8791
O38 O 0.3415 0.3795 0.2921
O39 O 0.9314 0.3767 0.8791
O40 O 0.6585 0.6205 0.7079
O41 O 0.5686 0.8767 0.3791
O42 O 0.9367 0.3737 0.7208
O43 O 0.4314 0.1233 0.6209
O44 O 0.0797 0.1168 0.0380
O45 O 0.0974 0.4962 0.4255
O46 O 0.0633 0.8737 0.2792
O47 O 0.0633 0.6263 0.2792
O48 O 0.8415 0.3795 0.2079
Zn1 Zn 0.2286 0.0750 0.5280
Zn2 Zn 0.7714 0.9250 0.4720
Zn3 Zn 0.2714 0.9250 0.0280
Zn4 Zn 0.7555 0.7500 0.3013
Zn5 Zn 0.7286 0.0750 0.9720
Zn6 Zn 0.0945 0.2500 0.2505
Zn7 Zn 0.2286 0.4250 0.5280
Zn8 Zn 0.2555 0.7500 0.1987
Zn9 Zn 0.7445 0.2500 0.8013
Zn10 Zn 0.2445 0.2500 0.6987
Zn11 Zn 0.9055 0.7500 0.7495
Zn12 Zn 0.4055 0.7500 0.7505
Zn13 Zn 0.7286 0.4250 0.9720
Zn14 Zn 0.5945 0.2500 0.2495
Zn15 Zn 0.2714 0.5750 0.0280
Zn16 Zn 0.7714 0.5750 0.4720
Mo1 Mo 0.1978 0.4686 0.8375
Mo2 Mo 0.3022 0.9686 0.3375
Mo3 Mo 0.3022 0.5314 0.3375
Mo4 Mo 0.8022 0.5314 0.1625
Mo5 Mo 0.7721 0.2500 0.4447
Mo6 Mo 0.8022 0.9686 0.1625
Mo7 Mo 0.6978 0.4686 0.6625
Mo8 Mo 0.1978 0.0314 0.8375
Mo9 Mo 0.7279 0.7500 0.9447
Mo10 Mo 0.2279 0.7500 0.5553
Mo11 Mo 0.2721 0.2500 0.0553
Mo12 Mo 0.6978 0.0314 0.6625
```

Values from the calculation:
The value obtained for the formation energy is -1.812 eV per atom. The space group is Pnma, No. 62. As for the energy with MP2020 corrections: -6.9149 eV/atom. For the theoretical density, the calculation gives 4.931 g cm⁻³. For the total magnetization, the calculation gives 2.00 μB/f.u. For the total energy, the calculation gives -5.975 eV/atom.


A relaxed structure of ZnMoO4, computed with GGA+U.

```
data_ZnMoO4
_space_group_name_H-M_alt 'P 1'
_space_group_IT_number 1
_space_group_name_Hall 'P 1'
_cell_length_a 4.7497
_cell_length_b 4.9666
_cell_length_c 5.8455
_cell_angle_alpha 90.00
_cell_angle_beta 90.00
_cell_angle_gamma 90.96
loop_
_atom_site_label
_atom_site_type_symbol
_atom_site_fract_x
_atom_site_fract_y
_atom_site_fract_z
O1 O 0.2567 0.9056 0.6259
O2 O 0.7842 0.0617 0.8949
O3 O 0.2567 0.4056 0.3741
O4 O 0.2158 0.4383 0.8949
O5 O 0.2158 0.9383 0.1051
O6 O 0.7433 0.5944 0.6259
O7 O 0.7842 0.5617 0.1051
O8 O 0.7433 0.0944 0.3741
Mo1 Mo 0.0000 0.2500 0.1848
Mo2 Mo 0.0000 0.7500 0.8152
Zn1 Zn 0.5000 0.7500 0.3097
Zn2 Zn 0.5000 0.2500 0.6903
```

Values from the calculation:
The value obtained for the formation energy is -1.901 eV per atom. The space group is P2/c, No. 13. As for the energy with MP2020 corrections: -7.2175 eV/atom. For the theoretical density, the calculation gives 5.428 g cm⁻³. For the total energy, the calculation gives -6.226 eV/atom.


Copy entry 5 word for word.
A relaxed structure of ZnMoO4, computed with GGA+U.

```
data_ZnMoO4
_space_group_name_H-M_alt 'P 1'
_space_group_IT_number 1
_space_group_name_Hall 'P 1'
_cell_length_a 4.7497
_cell_length_b 4.9666
_cell_length_c 5.8455
_cell_angle_alpha 90.00
_cell_angle_beta 90.00
_cell_angle_gamma 90.96
loop_
_atom_site_label
_atom_site_type_symbol
_atom_site_fract_x
_atom_site_fract_y
_atom_site_fract_z
O1 O 0.2567 0.9056 0.6259
O2 O 0.7842 0.0617 0.8949
O3 O 0.2567 0.4056 0.3741
O4 O 0.2158 0.4383 0.8949
O5 O 0.2158 0.9383 0.1051
O6 O 0.7433 0.5944 0.6259
O7 O 0.7842 0.5617 0.1051
O8 O 0.7433 0.0944 0.3741
Mo1 Mo 0.0000 0.2500 0.1848
Mo2 Mo 0.0000 0.7500 0.8152
Zn1 Zn 0.5000 0.7500 0.3097
Zn2 Zn 0.5000 0.2500 0.6903
```

Values from the calculation:
The value obtained for the formation energy is -1.901 eV per atom. The space group is P2/c, No. 13. As for the energy with MP2020 corrections: -7.2175 eV/atom. For the theoretical density, the calculation gives 5.428 g cm⁻³. For the total energy, the calculation gives -6.226 eV/atom.


> Look up the energy with MP2020 corrections of the fifth one.

-7.2175 eV/atom


> Number 1 is which compound?

ZnMo2O4